A plane-wave DFT calculation with r2SCAN was carried out for a geometry-optimized NdZn3As3 structure.

As for the energy: -15.0025 eV/atom. The value obtained for the energy of formation is -0.6778 eV per atom. The space group is Pm, No. 6.

a = 4.150 Å, b = 20.430 Å, c = 4.163 Å
α = 90.00°, β = 119.88°, γ = 90.00°
Fractional coordinates of all 14 atoms:
Nd: 0.000 0.250 0.000
Nd: 0.000 0.750 0.000
Zn: 0.326 0.119 0.665
Zn: 0.326 0.881 0.665
Zn: 0.401 0.500 0.604
Zn: 0.661 0.381 0.337
Zn: 0.661 0.619 0.337
Zn: 0.799 0.000 0.385
As: 0.331 0.338 0.668
As: 0.331 0.662 0.668
As: 0.473 0.000 0.723
As: 0.663 0.162 0.333
As: 0.663 0.838 0.333
As: 0.738 0.500 0.265